[1]
Crystalline Li2V3SbO8 at its relaxed geometry. Source: the Materials Project, functional GGA+U.

Lattice parameters (Å, degrees): 6.001 6.012 9.773 89.83 89.91 60.10
Fractional coordinates of all 28 atoms:
Li 0.000 0.000 0.000
Li 0.000 0.001 0.499
Li 0.334 0.334 0.087
Li 0.667 0.667 0.587
V 0.171 0.170 0.776
V 0.171 0.659 0.776
V 0.342 0.829 0.276
V 0.659 0.170 0.776
V 0.829 0.830 0.276
V 0.830 0.342 0.276
Sb 0.334 0.333 0.502
Sb 0.667 0.664 0.002
O 0.000 0.000 0.683
O 0.000 0.001 0.186
O 0.037 0.482 0.645
O 0.165 0.669 0.397
O 0.169 0.165 0.398
O 0.332 0.834 0.897
O 0.334 0.333 0.882
O 0.482 0.037 0.645
O 0.482 0.482 0.644
O 0.515 0.521 0.143
O 0.521 0.962 0.145
O 0.667 0.667 0.383
O 0.669 0.169 0.397
O 0.835 0.331 0.897
O 0.835 0.833 0.898
O 0.963 0.514 0.145

Properties
Formation enthalpy at 0 K, eV/atom: -2.400
Spin magnetization, μB per formula unit: 0.00
Energy relative to the lowest polymorph listed for this composition, meV/atom: 10
Calculated volume, Å³ per atom: 10.92
SG: P1 (1)



[2]
Crystalline Li6V5SbO12 at its relaxed geometry. Source: the Materials Project, functional GGA+U.

Lattice parameters (Å, degrees): 5.395 10.560 9.075 90.00 90.00 80.70
Fractional coordinates of all 48 atoms:
O 0.783 0.106 0.500
O 0.191 0.898 0.838
Sb 0.500 0.000 0.500
V 0.500 0.500 0.000
V 0.500 0.000 0.160
V 0.000 0.000 0.340
O 0.629 0.614 0.826
V 0.000 0.500 0.829
Li 0.737 0.289 0.500
V 0.000 0.500 0.500
O 0.882 0.391 0.000
O 0.309 0.102 0.338
O 0.872 0.386 0.327
V 0.000 0.500 0.171
Sb 0.000 0.000 0.000
O 0.809 0.102 0.838
Li 0.236 0.284 0.666
O 0.118 0.609 0.000
O 0.382 0.391 0.500
O 0.618 0.609 0.500
O 0.691 0.897 0.338
O 0.217 0.894 0.500
Li 0.736 0.284 0.166
Li 0.264 0.716 0.166
O 0.283 0.106 0.000
O 0.372 0.386 0.826
Li 0.763 0.711 0.000
V 0.000 0.000 0.660
O 0.129 0.614 0.673
Li 0.736 0.284 0.834
Li 0.764 0.716 0.666
V 0.500 0.000 0.840
O 0.691 0.898 0.662
O 0.717 0.894 0.000
Li 0.237 0.289 0.000
O 0.872 0.386 0.673
O 0.309 0.102 0.662
Li 0.263 0.711 0.500
Li 0.236 0.284 0.334
Li 0.764 0.716 0.334
O 0.629 0.614 0.174
V 0.500 0.500 0.329
O 0.191 0.897 0.162
O 0.809 0.102 0.162
Li 0.264 0.716 0.834
O 0.129 0.614 0.326
O 0.372 0.386 0.173
V 0.500 0.500 0.671

Properties
Formation enthalpy at 0 K, eV/atom: -2.326
Spin magnetization, μB per formula unit: 0.00
Energy relative to the lowest polymorph listed for this composition, meV/atom: 0
Calculated volume, Å³ per atom: 10.63



[3]
Crystalline Li4V3Sb5O16 at its relaxed geometry. Source: the Materials Project, functional GGA+U.

Lattice parameters (Å, degrees): 6.216 6.283 10.386 88.56 89.96 62.77
Fractional coordinates of all 28 atoms:
Li 0.000 0.000 0.000
Li 0.008 0.008 0.508
Li 0.312 0.365 0.410
Li 0.663 0.678 0.885
V 0.173 0.680 0.725
V 0.658 0.197 0.720
V 0.827 0.856 0.228
Sb 0.161 0.191 0.723
Sb 0.331 0.846 0.223
Sb 0.368 0.313 0.000
Sb 0.689 0.692 0.513
Sb 0.825 0.370 0.224
O 0.026 0.495 0.824
O 0.029 0.990 0.330
O 0.129 0.726 0.127
O 0.213 0.114 0.087
O 0.289 0.890 0.625
O 0.327 0.348 0.617
O 0.474 0.062 0.840
O 0.495 0.498 0.816
O 0.497 0.523 0.321
O 0.506 0.988 0.328
O 0.641 0.702 0.117
O 0.696 0.147 0.103
O 0.843 0.867 0.616
O 0.861 0.319 0.606
O 0.947 0.579 0.365
O 0.993 0.026 0.821

Properties
Formation enthalpy at 0 K, eV/atom: -2.095
Spin magnetization, μB per formula unit: 6.00
Calculated volume, Å³ per atom: 12.88
SG: P1 (1)



[4]
Crystalline Li6V3Sb3O16 at its relaxed geometry. Source: the Materials Project, functional GGA+U.

Lattice parameters (Å, degrees): 6.037 6.101 10.057 90.01 90.00 119.65
Fractional coordinates of all 28 atoms:
Li 0.000 0.000 0.000
Li 0.003 0.006 0.628
Li 0.331 0.661 0.121
Li 0.338 0.676 0.511
Li 0.674 0.347 0.627
Li 0.679 0.359 0.118
V 0.004 0.503 0.836
V 0.494 0.500 0.838
V 0.835 0.670 0.338
Sb 0.332 0.167 0.337
Sb 0.499 0.997 0.838
Sb 0.835 0.167 0.337
O 0.002 0.003 0.224
O 0.153 0.850 0.441
O 0.155 0.310 0.451
O 0.176 0.812 0.944
O 0.186 0.369 0.936
O 0.335 0.669 0.726
O 0.362 0.187 0.731
O 0.515 0.030 0.223
O 0.515 0.488 0.235
O 0.636 0.812 0.944
O 0.666 0.333 0.939
O 0.667 0.335 0.444
O 0.697 0.850 0.441
O 0.817 0.632 0.741
O 0.826 0.187 0.731
O 0.973 0.488 0.235

Properties
Formation enthalpy at 0 K, eV/atom: -2.241
Spin magnetization, μB per formula unit: 4.00
Energy relative to the lowest polymorph listed for this composition, meV/atom: 6
Calculated volume, Å³ per atom: 11.50
SG: P1 (1)



[5]
Crystalline Li6V5SbO12 at its relaxed geometry. Source: the Materials Project, functional GGA+U.

Lattice parameters (Å, degrees): 5.317 5.317 20.816 92.67 92.67 118.88
Fractional coordinates of all 48 atoms:
Li 0.037 0.206 0.607
Li 0.130 0.631 0.894
Li 0.206 0.037 0.107
Li 0.293 0.462 0.393
Li 0.369 0.870 0.606
Li 0.462 0.293 0.893
Li 0.538 0.707 0.107
Li 0.631 0.130 0.394
Li 0.707 0.538 0.607
Li 0.794 0.963 0.893
Li 0.870 0.369 0.106
Li 0.963 0.794 0.393
V 0.000 0.500 0.500
V 0.085 0.915 0.750
V 0.171 0.330 0.000
V 0.330 0.171 0.500
V 0.415 0.585 0.750
V 0.500 0.000 0.000
V 0.585 0.415 0.250
V 0.670 0.829 0.500
V 0.829 0.670 0.000
V 0.915 0.085 0.250
Sb 0.249 0.751 0.250
Sb 0.751 0.249 0.750
O 0.013 0.860 0.556
O 0.061 0.246 0.698
O 0.093 0.580 0.802
O 0.140 0.987 0.944
O 0.173 0.673 0.053
O 0.246 0.061 0.198
O 0.280 0.452 0.301
O 0.327 0.827 0.447
O 0.361 0.513 0.556
O 0.420 0.907 0.698
O 0.452 0.280 0.801
O 0.487 0.639 0.944
O 0.513 0.361 0.056
O 0.548 0.720 0.199
O 0.580 0.093 0.302
O 0.639 0.487 0.444
O 0.673 0.173 0.553
O 0.720 0.548 0.699
O 0.754 0.939 0.802
O 0.827 0.327 0.947
O 0.860 0.013 0.056
O 0.907 0.420 0.198
O 0.939 0.754 0.302
O 0.987 0.140 0.444

Properties
Formation enthalpy at 0 K, eV/atom: -2.315
Spin magnetization, μB per formula unit: 12.00
Energy relative to the lowest polymorph listed for this composition, meV/atom: 11
Calculated volume, Å³ per atom: 10.69
SG: C2/c (15)



[6]
Crystalline LiSbWO6 at its relaxed geometry. Source: the Materials Project, functional GGA+U.

Lattice parameters (Å, degrees): 4.759 17.741 5.094 90.00 90.00 90.00
Fractional coordinates of all 36 atoms:
Li 0.000 0.048 0.250
Li 0.000 0.952 0.750
Li 0.500 0.452 0.750
Li 0.500 0.548 0.250
Sb 0.000 0.282 0.750
Sb 0.000 0.718 0.250
Sb 0.500 0.218 0.250
Sb 0.500 0.782 0.750
W 0.000 0.397 0.250
W 0.000 0.603 0.750
W 0.500 0.103 0.750
W 0.500 0.897 0.250
O 0.206 0.364 0.561
O 0.206 0.636 0.061
O 0.240 0.293 0.080
O 0.240 0.707 0.580
O 0.246 0.042 0.606
O 0.246 0.958 0.106
O 0.254 0.458 0.106
O 0.254 0.542 0.606
O 0.260 0.207 0.580
O 0.260 0.793 0.080
O 0.294 0.136 0.061
O 0.294 0.864 0.561
O 0.706 0.136 0.439
O 0.706 0.864 0.939
O 0.740 0.207 0.920
O 0.740 0.793 0.420
O 0.746 0.458 0.394
O 0.746 0.542 0.894
O 0.754 0.042 0.894
O 0.754 0.958 0.394
O 0.760 0.293 0.420
O 0.760 0.707 0.920
O 0.794 0.364 0.939
O 0.794 0.636 0.439

Properties
Formation enthalpy at 0 K, eV/atom: -2.111
Spin magnetization, μB per formula unit: 0.00
Energy relative to the lowest polymorph listed for this composition, meV/atom: 0
Calculated volume, Å³ per atom: 11.95
SG: Pbcn (60)



[7]
Crystalline LiSbWO6 at its relaxed geometry. Source: the Materials Project, functional GGA+U.

Lattice parameters (Å, degrees): 7.317 7.317 7.317 120.98 119.01 90.02
Fractional coordinates of all 18 atoms:
Li 0.000 0.000 0.000
Li 0.500 0.000 0.500
Sb 0.500 0.000 0.000
Sb 0.500 0.500 0.500
W 0.000 0.500 0.500
W 0.500 0.500 0.000
O 0.179 0.428 0.362
O 0.179 0.816 0.750
O 0.195 0.445 0.750
O 0.416 0.166 0.250
O 0.434 0.184 0.862
O 0.434 0.572 0.250
O 0.566 0.428 0.750
O 0.566 0.816 0.138
O 0.584 0.834 0.750
O 0.805 0.555 0.250
O 0.821 0.184 0.250
O 0.821 0.572 0.638

Properties
Formation enthalpy at 0 K, eV/atom: -2.066
Spin magnetization, μB per formula unit: 0.00
Energy relative to the lowest polymorph listed for this composition, meV/atom: 45
Calculated volume, Å³ per atom: 15.38
SG: Imma (74)



[8]
Crystalline LiSbWO6 at its relaxed geometry. Source: the Materials Project, functional GGA+U.

Lattice parameters (Å, degrees): 7.333 7.333 10.322 90.00 90.00 90.00
Fractional coordinates of all 36 atoms:
Li 0.000 0.267 0.000
Li 0.000 0.733 0.500
Li 0.267 0.000 0.750
Li 0.733 0.000 0.250
Sb 0.000 0.242 0.500
Sb 0.000 0.758 0.000
Sb 0.242 0.000 0.250
Sb 0.758 0.000 0.750
W 0.243 0.500 0.250
W 0.500 0.243 0.500
W 0.500 0.757 0.000
W 0.757 0.500 0.750
O 0.039 0.039 0.375
O 0.039 0.961 0.125
O 0.057 0.448 0.379
O 0.057 0.552 0.121
O 0.234 0.255 0.182
O 0.234 0.745 0.318
O 0.255 0.234 0.568
O 0.255 0.766 0.932
O 0.427 0.427 0.375
O 0.427 0.573 0.125
O 0.448 0.057 0.371
O 0.448 0.943 0.129
O 0.552 0.057 0.629
O 0.552 0.943 0.871
O 0.573 0.427 0.625
O 0.573 0.573 0.875
O 0.745 0.234 0.432
O 0.745 0.766 0.068
O 0.766 0.255 0.818
O 0.766 0.745 0.682
O 0.943 0.448 0.621
O 0.943 0.552 0.879
O 0.961 0.039 0.625
O 0.961 0.961 0.875

Properties
Formation enthalpy at 0 K, eV/atom: -2.070
Spin magnetization, μB per formula unit: 0.00
Energy relative to the lowest polymorph listed for this composition, meV/atom: 42
Calculated volume, Å³ per atom: 15.42
SG: P4_122 (91)